[1]
InFeAs | PBE | relaxed

Results
Total energy = -13.7 eV per cell

Structure (POSCAR):
```
InFeAs
1.0
-4.310 -0.577 -0.903
-2.969 3.033 1.309
-2.005 2.585 -3.004
As Fe In
1 1 1
Cartesian
0.000 0.000 0.000
-4.642 2.521 -1.299
-6.964 3.781 -1.949
```

=====

[2]
PuAl3 | PBE | relaxed

Results
Total energy = -80.0 eV per cell

Structure (POSCAR):
```
PuAl3
1.0
-4.632 5.812 -2.927
-7.842 0.886 -1.231
-5.684 4.739 3.006
Al Pu
9 3
Cartesian
-9.265 7.716 -0.248
-10.266 5.929 -2.213
-6.763 2.813 0.887
-6.237 3.349 -2.079
-8.894 3.721 -0.904
-7.892 5.509 1.061
-10.754 5.431 0.539
-7.404 6.007 -1.691
-5.158 5.276 0.039
-14.180 8.932 -0.900
-3.979 2.506 -0.252
0.000 0.000 0.000
```

=====

[3]
Rb2LiSb2O4 | PBE | relaxed

Results
Offset from the most stable computed form = 89 meV per atom

Structure (POSCAR):
```
Rb2LiSb2O4
1.0
-2.063 -5.855 -3.017
3.406 -1.579 4.590
-4.912 2.778 1.823
Sb O Li Rb
2 4 1 2
Cartesian
1.297 -5.676 2.141
-4.941 1.059 1.230
-2.080 0.003 3.998
-2.619 -4.414 3.193
-1.542 -1.163 0.545
-0.890 -3.741 -0.943
-2.308 -0.320 2.106
-3.551 -3.137 0.528
0.267 -1.668 2.963
```

=====

[4]
CdGa2O4 | PBE | relaxed

Results
Total energy = -304.2 eV per cell

Structure (POSCAR):
```
CdGa2O4
1.0
20.438 -3.085 0.000
20.438 3.085 0.000
19.972 0.000 5.323
Cd O Ga
8 32 16
Cartesian
26.666 0.000 2.333
41.866 0.000 3.662
57.034 0.000 4.989
5.757 0.000 0.504
20.864 0.000 1.825
11.451 0.000 1.002
30.357 0.000 2.656
15.251 0.000 1.334
19.506 -1.566 0.799
27.687 -1.672 1.453
9.336 0.000 0.817
1.926 0.000 0.169
27.435 0.000 4.337
44.725 1.587 4.832
22.569 0.000 0.366
34.830 -1.328 2.277
12.243 -1.769 0.045
34.830 1.328 2.277
11.975 0.000 3.099
22.359 1.387 2.760
24.520 0.000 2.145
12.243 1.769 0.045
37.372 1.305 4.026
29.618 1.798 3.633
47.463 0.000 4.152
17.490 0.000 1.530
39.658 0.000 3.469
19.506 1.566 0.799
19.270 0.000 3.501
54.876 0.000 4.800
37.372 -1.305 4.026
29.890 0.000 0.530
22.359 -1.387 2.760
27.687 1.672 1.453
37.569 0.000 1.774
44.965 0.000 2.094
34.630 0.000 4.568
32.582 0.000 2.850
29.618 -1.798 3.633
44.725 -1.587 4.832
38.472 0.000 5.109
23.298 0.000 3.776
38.699 -1.504 2.514
23.524 1.499 1.189
33.734 0.000 1.159
33.501 -1.546 3.826
48.784 1.566 5.175
49.020 0.000 2.473
23.524 -1.499 1.189
51.348 0.000 4.492
60.786 0.000 5.317
33.501 1.546 3.826
48.784 -1.566 5.175
36.075 0.000 3.156
45.523 0.000 3.982
38.699 1.504 2.514
```

=====

[5]
RuC | PBE | relaxed

Results
Offset from the most stable computed form = 283 meV per atom

Structure (POSCAR):
```
RuC
1.0
0.000 0.000 -2.683
-1.468 -2.542 0.000
-1.468 2.542 0.000
Ru C
1 1
Cartesian
0.000 0.000 0.000
-1.468 -0.847 -1.341
```

=====

[6]
LaTlGeSe4 | PBE | relaxed

Results
Total energy = -261.8 eV per cell

Structure (POSCAR):
```
LaTlGeSe4
1.0
7.230 0.000 0.000
-0.019 11.614 0.000
-0.041 -0.050 19.575
Se Ge Tl La
32 8 8 8
Cartesian
3.344 5.770 13.378
6.319 1.613 9.699
0.858 9.973 9.908
0.508 6.889 8.170
3.054 6.830 17.935
2.701 9.976 0.092
6.493 2.307 16.461
4.437 1.574 19.456
3.290 11.524 15.991
4.253 8.147 3.102
2.722 4.144 9.693
4.089 10.491 8.174
0.499 1.096 1.617
6.639 10.451 17.957
3.850 0.000 3.573
6.681 4.701 11.407
0.222 11.557 6.233
0.657 3.402 6.696
2.912 9.222 12.907
3.832 5.773 6.199
6.919 5.758 15.991
3.092 1.064 11.439
6.517 8.152 12.905
6.954 -0.024 13.390
4.460 7.417 9.880
4.103 4.703 1.616
2.880 3.372 16.452
0.830 4.108 19.461
4.275 2.324 6.685
0.239 5.798 3.587
6.316 7.430 0.105
0.657 9.233 3.105
5.120 0.579 17.369
5.137 6.433 11.979
2.034 5.133 7.603
1.523 10.943 12.021
5.652 0.612 7.602
2.020 10.965 2.187
5.644 6.441 2.204
1.509 5.096 17.360
4.753 8.597 15.695
5.953 8.607 5.903
5.947 2.823 3.878
1.223 2.934 13.637
4.843 2.793 13.644
2.344 2.986 3.884
1.149 8.719 15.726
2.382 8.756 5.923
1.587 1.182 18.272
5.549 10.362 1.301
5.202 4.494 18.283
1.952 1.217 8.528
1.616 7.030 11.096
5.565 4.532 8.492
5.236 10.333 11.073
1.937 7.042 1.264
```

=====

[7]
SmCoP | PBE | relaxed

Results
Total energy = -40.2 eV per cell

Structure (POSCAR):
```
SmCoP
1.0
-2.200 -2.805 -1.560
2.665 -2.650 1.007
-3.456 -0.964 6.605
P Co Sm
2 2 2
Cartesian
-1.559 -2.131 6.031
-1.664 -1.560 0.298
0.000 0.000 0.000
0.233 -2.727 -0.276
-3.523 -2.078 3.852
0.300 -1.613 2.477
```

=====

[8]
VH | PBE | relaxed

Results
Total energy = -24.5 eV per cell

Structure (POSCAR):
```
VH
1.0
-0.797 1.042 -2.401
-1.766 -1.428 1.525
-1.400 4.155 2.268
V H
2 2
Cartesian
-0.700 2.077 1.134
0.000 0.000 0.000
-2.170 3.335 0.609
-1.793 0.434 0.784
```

=====

[9]
Hg4Pt | PBE | relaxed

Results
Total energy = -7.8 eV per cell

Structure (POSCAR):
```
Hg4Pt
1.0
2.497 4.457 2.119
-5.477 0.506 0.578
1.726 -4.525 2.672
Hg Pt
4 1
Cartesian
-0.627 0.219 2.684
1.249 2.228 1.059
0.863 -2.262 1.336
-2.739 0.253 0.289
0.000 0.000 0.000
```

=====

[10]
Pu3Se4 | PBE | relaxed

Results
Total energy = -136.0 eV per cell

Structure (POSCAR):
```
Pu3Se4
1.0
-4.387 4.387 4.387
4.387 -4.387 4.387
4.387 4.387 -4.387
Se Pu
8 6
Cartesian
2.834 1.552 -1.552
3.746 3.746 3.746
1.552 1.552 1.552
-1.552 2.834 1.552
5.027 -0.641 0.641
0.641 5.027 -0.641
-0.641 0.641 5.027
1.552 -1.552 2.834
4.387 2.193 1.097
-2.193 3.290 4.387
4.387 -2.193 3.290
1.097 4.387 2.193
3.290 4.387 -2.193
2.193 1.097 4.387
```

=====

[11]
FeMo3PtN | PBE | relaxed

Results
Total energy = -228.6 eV per cell

Structure (POSCAR):
```
FeMo3PtN
1.0
-2.860 -5.644 2.439
5.294 -0.892 4.143
-3.127 3.652 4.782
Pt Fe Mo N
4 4 12 4
Cartesian
1.953 -1.251 7.641
-2.224 -0.142 7.668
-0.043 -0.180 0.711
-1.071 -4.195 6.709
-2.478 1.032 5.435
-0.474 -1.974 7.777
-1.238 -4.212 4.179
2.804 -0.615 5.338
-4.494 -0.786 6.037
1.064 -5.384 5.209
0.198 0.688 8.817
-1.241 -1.985 2.590
2.315 1.530 7.040
0.830 -2.510 5.380
-1.885 -1.842 5.384
-3.289 -2.804 7.719
0.033 0.099 5.993
1.461 -1.045 2.993
1.614 -4.036 7.705
-0.763 0.770 3.319
-0.260 -1.080 4.256
2.448 -3.852 5.749
0.218 1.927 7.079
-3.792 -2.764 5.644
```

=====

[12]
PrLuS3 | PBE | relaxed

Results
Offset from the most stable computed form = 0 meV per atom

Structure (POSCAR):
```
PrLuS3
1.0
1.946 -6.303 0.000
1.946 6.303 0.000
0.000 0.000 9.522
S Lu Pr
6 2 2
Cartesian
1.946 1.775 0.596
1.946 -1.775 5.358
1.946 -5.219 7.142
1.946 -1.775 8.926
1.946 1.775 4.165
1.946 5.219 2.381
0.000 0.000 4.761
0.000 0.000 0.000
1.946 3.116 7.142
1.946 -3.116 2.381
```

=====

[13]
UCrB4 | PBE | relaxed

Results
Total energy = -204.4 eV per cell

Structure (POSCAR):
```
UCrB4
1.0
0.000 0.000 3.486
5.858 0.000 0.000
0.000 11.354 0.000
B Cr U
16 4 4
Cartesian
3.721 6.054 1.743
5.188 5.153 1.743
1.267 9.232 1.743
2.259 0.524 1.743
5.066 0.377 1.743
4.591 2.123 1.743
0.670 6.201 1.743
2.768 2.177 1.743
3.599 10.830 1.743
4.195 7.800 1.743
5.696 3.500 1.743
0.161 7.854 1.743
1.662 3.555 1.743
2.137 5.300 1.743
3.090 9.177 1.743
0.792 10.978 1.743
0.761 4.677 0.000
2.168 10.354 0.000
5.097 6.678 0.000
3.690 1.001 0.000
2.195 7.387 0.000
3.663 3.968 0.000
0.734 1.709 0.000
5.124 9.645 0.000
```

=====

[14]
SiNi3W2 | PBE | relaxed

Results
Offset from the most stable computed form = 0 meV per atom

Structure (POSCAR):
```
SiNi3W2
1.0
2.378 -4.118 0.000
2.378 4.118 0.000
0.000 0.000 7.555
Ni Si W
6 2 4
Cartesian
1.208 -0.698 5.666
3.547 -0.698 5.666
2.378 -2.723 5.666
1.208 0.698 1.889
3.547 0.698 1.889
2.378 2.723 1.889
0.000 0.000 3.777
0.000 0.000 0.000
2.378 1.373 7.079
2.378 1.373 4.253
2.378 -1.373 3.302
2.378 -1.373 0.476
```

=====

[15]
UGaRh | PBE | relaxed

Results
Total energy = -69.9 eV per cell

Structure (POSCAR):
```
UGaRh
1.0
3.218 3.295 5.118
-6.816 0.625 -0.748
-0.565 -3.240 2.441
Ga Rh U
3 3 3
Cartesian
-2.736 2.981 3.323
-1.632 0.150 -0.179
0.771 0.789 1.226
-3.471 1.515 1.207
-0.282 -1.620 1.221
-0.127 2.405 3.163
-1.799 0.032 3.062
-4.226 -1.258 0.788
1.580 0.287 4.182
```

=====

[16]
KAuBr4 | PBE | relaxed

Results
Total energy = -61.6 eV per cell

Structure (POSCAR):
```
KAuBr4
1.0
-0.959 -4.740 4.860
0.291 -6.905 -6.677
12.947 -2.253 0.358
Br Au K
16 4 4
Cartesian
10.058 -9.378 1.052
2.220 -4.521 -2.511
5.359 -10.797 -1.801
10.542 -2.727 -0.040
11.915 -11.515 -2.042
11.935 -7.893 -2.824
1.736 -11.171 -1.419
8.503 -6.587 -1.369
0.343 -6.006 1.365
8.582 -10.457 -3.128
6.796 -7.231 1.644
0.363 -2.384 0.583
5.482 -6.668 -3.103
3.696 -3.442 1.670
3.775 -7.312 -0.090
6.919 -3.101 0.342
0.145 -3.452 -3.339
0.000 0.000 0.000
6.139 -6.949 -0.729
5.994 -3.497 2.609
3.257 -6.645 3.291
2.176 -7.964 -3.045
10.102 -5.934 1.586
9.021 -7.254 -4.750
```